The following is a DFT calculation (GGA+U) of crystalline CrSi2O6 at its relaxed geometry. Values from VASP.

```
&SYSTEM
  ibrav = 0, nat = 72, ntyp = 3
/
ATOMIC_SPECIES
O 16.00 O.upf
Si 28.09 Si.upf
Cr 52.00 Cr.upf
CELL_PARAMETERS angstrom
-4.568 -1.703 1.502
1.335 -8.818 -5.942
7.874 -8.472 14.342
ATOMIC_POSITIONS crystal
O 0.866 0.633 0.811
O 0.027 0.283 0.455
O 0.697 0.044 0.324
O 0.772 0.362 0.061
O 0.527 0.217 0.455
O 0.473 0.283 0.955
O 0.166 0.047 0.425
O 0.728 0.362 0.561
O 0.728 0.862 0.939
O 0.666 0.453 0.425
O 0.831 0.281 0.295
O 0.169 0.219 0.795
O 0.697 0.544 0.176
O 0.134 0.867 0.311
O 0.197 0.456 0.324
O 0.473 0.783 0.545
O 0.634 0.133 0.189
O 0.834 0.953 0.575
O 0.027 0.783 0.045
O 0.866 0.133 0.689
O 0.303 0.456 0.824
O 0.666 0.953 0.075
O 0.834 0.453 0.925
O 0.973 0.217 0.955
O 0.669 0.281 0.795
O 0.634 0.633 0.311
O 0.973 0.717 0.545
O 0.334 0.547 0.575
O 0.772 0.862 0.439
O 0.366 0.867 0.811
O 0.803 0.544 0.676
O 0.669 0.781 0.705
O 0.527 0.717 0.045
O 0.831 0.781 0.205
O 0.331 0.719 0.205
O 0.228 0.138 0.561
O 0.331 0.219 0.295
O 0.334 0.047 0.925
O 0.303 0.956 0.676
O 0.134 0.367 0.189
O 0.169 0.719 0.705
O 0.197 0.956 0.176
O 0.803 0.044 0.824
O 0.366 0.367 0.689
O 0.272 0.638 0.439
O 0.272 0.138 0.061
O 0.166 0.547 0.075
O 0.228 0.638 0.939
Si 0.625 0.168 0.276
Si 0.125 0.832 0.224
Si 0.875 0.168 0.776
Si 0.875 0.668 0.724
Si 0.730 0.330 0.474
Si 0.270 0.670 0.526
Si 0.770 0.330 0.974
Si 0.125 0.332 0.276
Si 0.375 0.332 0.776
Si 0.270 0.170 0.974
Si 0.230 0.670 0.026
Si 0.230 0.170 0.474
Si 0.625 0.668 0.224
Si 0.770 0.830 0.526
Si 0.375 0.832 0.724
Si 0.730 0.830 0.026
Cr 0.562 0.955 0.873
Cr 0.438 0.545 0.373
Cr 0.062 0.545 0.873
Cr 0.938 0.955 0.373
Cr 0.938 0.455 0.127
Cr 0.062 0.045 0.627
Cr 0.562 0.455 0.627
Cr 0.438 0.045 0.127
```

The space-group type is Pbca, No. 61. The total magnetization comes out at 2.000 μB per formula unit. For the formation energy, the calculation gives -62.776 kcal/mol of atoms. For the distance to the lowest polymorph of the same formula, the calculation gives 29 meV/atom. For the MP2020-corrected energy, the calculation gives -74.69 eV/f.u.



The following is a DFT calculation (GGA+U) of crystalline MgCo3NiO8 at its relaxed geometry. Values from VASP.

```
&SYSTEM
  ibrav = 0, nat = 13, ntyp = 4
/
ATOMIC_SPECIES
O 16.00 O.upf
Ni 58.69 Ni.upf
Co 58.93 Co.upf
Mg 24.30 Mg.upf
CELL_PARAMETERS angstrom
3.216 -3.494 3.337
-4.629 -2.029 -2.860
0.255 -0.587 -5.849
ATOMIC_POSITIONS crystal
O 0.752 0.704 0.792
O 0.699 0.755 0.198
O 0.244 0.300 0.198
O 0.254 0.744 0.208
O 0.253 0.749 0.787
O 0.746 0.255 0.783
O 0.297 0.248 0.793
O 0.749 0.250 0.224
Ni 0.503 0.498 0.504
Co 0.498 0.993 0.003
Co 0.007 0.502 0.003
Co 0.499 0.501 0.004
Mg 0.882 0.121 0.634
```

The space-group type is P1, No. 1. The total magnetization comes out at 5.004 μB per formula unit. For the formation energy, the calculation gives -31.228 kcal/mol of atoms. For the distance to the lowest polymorph of the same formula, the calculation gives 34 meV/atom. For the MP2020-corrected energy, the calculation gives -85.89 eV/f.u.



The following is a DFT calculation (GGA+U) of crystalline Sr4LiMn2Ga2O10 at its relaxed geometry. Values from VASP.

```
&SYSTEM
  ibrav = 0, nat = 19, ntyp = 5
/
ATOMIC_SPECIES
O 16.00 O.upf
Sr 87.62 Sr.upf
Li 6.94 Li.upf
Ga 69.72 Ga.upf
Mn 54.94 Mn.upf
CELL_PARAMETERS angstrom
0.000 -0.245 5.829
0.000 5.857 -0.249
-7.942 2.805 2.790
ATOMIC_POSITIONS crystal
O 0.341 0.647 0.508
O 0.897 0.903 0.290
O 0.739 0.738 0.022
O 0.128 0.122 0.701
O 0.672 0.676 0.701
O 0.249 0.747 0.004
O 0.266 0.265 0.970
O 0.749 0.250 0.001
O 0.313 0.307 0.290
O 0.652 0.345 0.508
Sr 0.915 0.369 0.215
Sr 0.370 0.916 0.215
Sr 0.659 0.056 0.784
Sr 0.058 0.658 0.785
Li 0.383 0.382 0.737
Ga 0.689 0.690 0.487
Ga 0.324 0.322 0.488
Mn 0.493 0.492 0.012
Mn 0.996 0.996 0.012
```

The space-group type is P1, No. 1. The total magnetization comes out at 8.998 μB per formula unit. For the formation energy, the calculation gives -58.917 kcal/mol of atoms. For the distance to the lowest polymorph of the same formula, the calculation gives 60 meV/atom. For the MP2020-corrected energy, the calculation gives -131.07 eV/f.u.



The following is a DFT calculation (GGA+U) of crystalline LiFe2S3O12 at its relaxed geometry. Values from VASP.

```
&SYSTEM
  ibrav = 0, nat = 36, ntyp = 4
/
ATOMIC_SPECIES
O 16.00 O.upf
Fe 55.84 Fe.upf
S 32.06 S.upf
Li 6.94 Li.upf
CELL_PARAMETERS angstrom
0.814 8.532 -1.520
-6.762 4.587 -3.000
-4.009 5.774 5.134
ATOMIC_POSITIONS crystal
O 0.606 0.810 0.006
O 0.730 0.092 0.940
O 0.994 0.394 0.190
O 0.592 0.230 0.440
O 0.310 0.106 0.506
O 0.408 0.770 0.560
O 0.270 0.908 0.060
O 0.894 0.494 0.690
O 0.908 0.060 0.270
O 0.770 0.560 0.408
O 0.810 0.006 0.606
O 0.560 0.408 0.770
O 0.092 0.940 0.730
O 0.440 0.592 0.230
O 0.494 0.690 0.894
O 0.940 0.730 0.092
O 0.506 0.310 0.106
O 0.106 0.506 0.310
O 0.394 0.190 0.994
O 0.690 0.894 0.494
O 0.060 0.270 0.908
O 0.190 0.994 0.394
O 0.230 0.440 0.592
O 0.006 0.606 0.810
Fe 0.856 0.856 0.856
Fe 0.144 0.144 0.144
Fe 0.644 0.644 0.644
Fe 0.356 0.356 0.356
S 0.045 0.455 0.750
S 0.545 0.250 0.955
S 0.455 0.750 0.045
S 0.750 0.045 0.455
S 0.250 0.955 0.545
S 0.955 0.545 0.250
Li 0.500 0.500 0.500
Li 0.000 0.000 0.000
```

The space-group type is R-3c, No. 167. The total magnetization comes out at 8.999 μB per formula unit. For the formation energy, the calculation gives -43.896 kcal/mol of atoms. For the distance to the lowest polymorph of the same formula, the calculation gives 18 meV/atom. For the MP2020-corrected energy, the calculation gives -124.90 eV/f.u.



The following is a DFT calculation (GGA+U) of crystalline MgNiP2O7 at its relaxed geometry. Values from VASP.

```
&SYSTEM
  ibrav = 0, nat = 44, ntyp = 4
/
ATOMIC_SPECIES
P 30.97 P.upf
O 16.00 O.upf
Mg 24.30 Mg.upf
Ni 58.69 Ni.upf
CELL_PARAMETERS angstrom
-5.490 3.355 -1.170
-0.935 6.166 9.168
3.710 5.645 -2.408
ATOMIC_POSITIONS crystal
P 0.630 0.170 0.528
P 0.172 0.493 0.261
P 0.172 0.993 0.761
P 0.629 0.670 0.028
P 0.828 0.507 0.739
P 0.370 0.830 0.472
P 0.828 0.007 0.239
P 0.371 0.330 0.972
O 0.241 0.955 0.559
O 0.759 0.545 0.941
O 0.596 0.812 0.535
O 0.256 0.227 0.036
O 0.759 0.045 0.441
O 0.075 0.632 0.229
O 0.981 0.085 0.146
O 0.634 0.532 0.612
O 0.744 0.773 0.964
O 0.404 0.188 0.465
O 0.596 0.312 0.035
O 0.340 0.372 0.759
O 0.925 0.868 0.270
O 0.981 0.585 0.646
O 0.075 0.132 0.729
O 0.744 0.273 0.464
O 0.366 0.468 0.388
O 0.634 0.032 0.112
O 0.660 0.128 0.741
O 0.019 0.914 0.854
O 0.366 0.968 0.888
O 0.925 0.368 0.771
O 0.404 0.688 0.965
O 0.241 0.455 0.059
O 0.256 0.727 0.536
O 0.660 0.628 0.241
O 0.340 0.872 0.259
O 0.019 0.414 0.353
Mg 0.845 0.712 0.413
Mg 0.845 0.213 0.913
Mg 0.155 0.787 0.087
Mg 0.155 0.287 0.587
Ni 0.316 0.051 0.139
Ni 0.684 0.949 0.862
Ni 0.684 0.449 0.361
Ni 0.316 0.551 0.639
```

The total magnetization comes out at 0.000 μB per formula unit. For the formation energy, the calculation gives -59.499 kcal/mol of atoms. For the distance to the lowest polymorph of the same formula, the calculation gives 26 meV/atom. For the MP2020-corrected energy, the calculation gives -81.22 eV/f.u.



The following is a DFT calculation (GGA+U) of crystalline KV12O30 at its relaxed geometry. Values from VASP.

```
&SYSTEM
  ibrav = 0, nat = 86, ntyp = 3
/
ATOMIC_SPECIES
V 50.94 V.upf
O 16.00 O.upf
K 39.10 K.upf
CELL_PARAMETERS angstrom
5.438 -9.419 0.000
5.438 9.419 0.000
0.000 0.000 15.291
ATOMIC_POSITIONS crystal
V 0.365 0.120 0.616
V 0.245 0.365 0.616
V 0.120 0.755 0.616
V 0.635 0.755 0.116
V 0.755 0.635 0.616
V 0.635 0.755 0.884
V 0.245 0.365 0.384
V 0.120 0.365 0.884
V 0.365 0.120 0.384
V 0.880 0.245 0.616
V 0.755 0.635 0.384
V 0.880 0.635 0.884
V 0.120 0.755 0.384
V 0.245 0.880 0.884
V 0.365 0.245 0.116
V 0.880 0.245 0.384
V 0.120 0.365 0.116
V 0.245 0.880 0.116
V 0.365 0.245 0.884
V 0.880 0.635 0.116
V 0.635 0.880 0.384
V 0.635 0.880 0.616
V 0.755 0.120 0.116
V 0.755 0.120 0.884
O 0.287 0.059 0.144
O 0.162 0.654 0.670
O 0.865 0.269 0.500
O 0.228 0.941 0.356
O 0.713 0.941 0.144
O 0.865 0.596 0.000
O 0.287 0.228 0.356
O 0.404 0.269 0.000
O 0.346 0.508 0.670
O 0.731 0.135 0.000
O 0.269 0.404 0.500
O 0.508 0.162 0.670
O 0.508 0.162 0.330
O 0.654 0.162 0.170
O 0.838 0.492 0.830
O 0.838 0.492 0.170
O 0.059 0.772 0.856
O 0.346 0.508 0.330
O 0.228 0.287 0.856
O 0.713 0.941 0.856
O 0.135 0.404 0.000
O 0.287 0.059 0.856
O 0.492 0.654 0.830
O 0.772 0.713 0.856
O 0.941 0.713 0.644
O 0.508 0.346 0.170
O 0.772 0.713 0.144
O 0.162 0.654 0.330
O 0.059 0.287 0.356
O 0.731 0.596 0.500
O 0.269 0.865 0.000
O 0.162 0.508 0.830
O 0.059 0.772 0.144
O 0.772 0.059 0.644
O 0.059 0.287 0.644
O 0.713 0.772 0.644
O 0.162 0.508 0.170
O 0.404 0.135 0.500
O 0.228 0.941 0.644
O 0.941 0.713 0.356
O 0.492 0.838 0.330
O 0.492 0.838 0.670
O 0.838 0.346 0.330
O 0.135 0.731 0.500
O 0.941 0.228 0.856
O 0.346 0.838 0.830
O 0.596 0.865 0.500
O 0.346 0.838 0.170
O 0.287 0.228 0.644
O 0.772 0.059 0.356
O 0.654 0.162 0.830
O 0.492 0.654 0.170
O 0.228 0.287 0.144
O 0.654 0.492 0.670
O 0.713 0.772 0.356
O 0.596 0.731 0.000
O 0.654 0.492 0.330
O 0.941 0.228 0.144
O 0.508 0.346 0.830
O 0.838 0.346 0.670
K 0.000 0.000 0.250
K 0.000 0.000 0.750
```

The space-group type is P6/mcc, No. 192. The total magnetization comes out at 1.014 μB per formula unit. For the formation energy, the calculation gives -51.523 kcal/mol of atoms. For the MP2020-corrected energy, the calculation gives -354.63 eV/f.u.